DFT (r2SCAN) results for a relaxed structure of Er6Co2Sn.

Computed properties:
Symmetry: Immm (71)

POSCAR file:
```
Er6Co2Sn
1.0
-0.025 0.994 8.217
6.369 4.345 -3.010
-7.144 2.657 -3.226
Er Co Sn
12 4 2
direct
0.315 0.618 0.303
0.685 0.382 0.697
0.315 0.012 0.697
0.685 0.988 0.303
0.445 0.231 0.214
0.555 0.769 0.786
0.017 0.231 0.786
0.983 0.769 0.214
0.185 0.287 0.472
0.815 0.713 0.528
0.185 0.713 0.898
0.815 0.287 0.102
0.111 0.611 0.500
0.889 0.389 0.500
0.382 0.000 0.382
0.618 0.000 0.618
0.500 0.500 0.000
0.000 0.000 0.000
```

***

DFT (r2SCAN) results for a relaxed structure of Er7Co6Sn23.

Computed properties:
Symmetry: P-3m1 (164)

POSCAR file:
```
Er7Co6Sn23
1.0
-1.682 9.472 0.440
-7.357 -6.212 0.208
0.574 -0.353 9.786
Er Co Sn
7 6 23
direct
0.479 0.521 0.306
0.521 0.479 0.694
0.479 0.958 0.306
0.521 0.042 0.694
0.042 0.521 0.306
0.958 0.479 0.694
0.000 0.000 0.000
0.832 0.168 0.197
0.168 0.832 0.803
0.832 0.665 0.197
0.168 0.335 0.803
0.335 0.168 0.197
0.665 0.832 0.803
0.117 0.883 0.275
0.883 0.117 0.725
0.117 0.235 0.275
0.883 0.765 0.725
0.765 0.883 0.275
0.235 0.117 0.725
0.780 0.220 0.452
0.220 0.780 0.548
0.780 0.561 0.452
0.220 0.439 0.548
0.439 0.220 0.452
0.561 0.780 0.548
0.347 0.000 0.000
0.653 0.000 0.000
0.000 0.347 0.000
0.000 0.653 0.000
0.653 0.653 0.000
0.347 0.347 0.000
0.333 0.667 0.117
0.667 0.333 0.883
0.333 0.667 0.821
0.667 0.333 0.179
0.000 0.000 0.500
```

***

DFT (r2SCAN) results for a relaxed structure of ErCoSn.

Computed properties:
Symmetry: Pnma (62)

POSCAR file:
```
ErCoSn
1.0
-0.427 3.541 -2.816
2.512 -4.047 -5.471
-6.989 -2.138 -1.628
Er Co Sn
4 4 4
direct
0.250 0.481 0.284
0.250 0.981 0.216
0.750 0.019 0.784
0.750 0.519 0.716
0.750 0.843 0.434
0.250 0.157 0.566
0.750 0.343 0.066
0.250 0.657 0.934
0.750 0.714 0.100
0.250 0.786 0.600
0.250 0.286 0.900
0.750 0.214 0.400
```

***

The DFT total energy results, record by record, are as follows: -28.6343 -24.9594 -24.4532 eV per atom.
The M_tot results, record by record, are as follows: 0.115 0.000 1.356 μB per formula unit.
The ΔH_f (0 K) results, record by record, are as follows: -0.327 -0.347 -0.485 eV per atom.